A relaxed LiVOF3 crystal. Source: the Materials Project, functional PBE+U.

Computed properties:
- Formation energy: -2911 meV/atom
- Energy with MP2020 corrections: -6.525 eV per atom
- Crystal system: orthorhombic
- Energy above the most stable polymorph in this dataset: 38 kJ/mol of formula units
- Total DFT energy (no corrections): -5.896 eV per atom
- SG: No. 29

Geometry as POSCAR:
```
LiVOF3
1.0
7.1366 0.0000 0.0000
0.0000 5.1762 0.0000
0.0000 0.0000 8.1653
Li V O F
4 4 4 12
Direct
0.1737 0.0471 0.0000
0.3263 0.0471 0.5000
0.6737 0.9529 0.0000
0.8263 0.9529 0.5000
0.0059 0.4569 0.6803
0.4941 0.4569 0.1803
0.5059 0.5431 0.6803
0.9941 0.5431 0.1803
0.0418 0.3458 0.8672
0.4582 0.3458 0.3672
0.5418 0.6542 0.8672
0.9582 0.6542 0.3672
0.0652 0.1833 0.5306
0.0996 0.2113 0.1982
0.2438 0.6508 0.6312
0.2562 0.6508 0.1312
0.4004 0.2113 0.6982
0.4348 0.1833 0.0306
0.5652 0.8167 0.5306
0.5996 0.7887 0.1982
0.7438 0.3492 0.6312
0.7562 0.3492 0.1312
0.9004 0.7887 0.6982
0.9348 0.8167 0.0306
```


A relaxed Li2VO2F crystal. Source: the Materials Project, functional PBE+U.

Computed properties:
- Formation energy: -2626 meV/atom
- Energy with MP2020 corrections: -6.745 eV per atom
- Crystal system: monoclinic
- Energy above the most stable polymorph in this dataset: 50 kJ/mol of formula units
- Total DFT energy (no corrections): -6.156 eV per atom
- SG: No. 8

Geometry as POSCAR:
```
Li2VO2F
1.0
12.9888 -1.5023 0.0000
12.9888 1.5023 0.0000
-0.0400 0.0000 7.3090
Li V O F
10 5 10 5
Direct
0.0000 0.0000 0.0000
0.1358 0.1358 0.2865
0.2021 0.2021 0.9693
0.3343 0.3343 0.2830
0.4047 0.4047 0.0072
0.5320 0.5320 0.2633
0.6028 0.6028 0.9715
0.7353 0.7353 0.2859
0.8015 0.8015 0.9685
0.9438 0.9438 0.2573
0.0708 0.0708 0.6257
0.2682 0.2682 0.6266
0.4735 0.4735 0.6087
0.6696 0.6696 0.6286
0.8668 0.8668 0.6258
0.0038 0.0038 0.4707
0.1367 0.1367 0.7830
0.2026 0.2026 0.4728
0.3353 0.3353 0.7813
0.4025 0.4025 0.4939
0.4691 0.4691 0.1242
0.5358 0.5358 0.7700
0.6040 0.6040 0.4742
0.7362 0.7362 0.7825
0.8016 0.8016 0.4717
0.0734 0.0734 0.1255
0.2685 0.2685 0.1268
0.6707 0.6707 0.1277
0.8653 0.8653 0.1283
0.9371 0.9371 0.7816
```


A relaxed LiV2OF5 crystal. Source: the Materials Project, functional PBE+U.

Computed properties:
- Formation energy: -3043 meV/atom
- Energy with MP2020 corrections: -6.887 eV per atom
- Crystal system: trigonal
- Energy above the most stable polymorph in this dataset: 17 kJ/mol of formula units
- Total DFT energy (no corrections): -6.176 eV per atom
- SG: No. 145

Geometry as POSCAR:
```
LiV2OF5
1.0
5.2134 0.0000 0.0000
-2.6067 4.5149 0.0000
0.0000 0.0000 13.9645
Li V O F
3 6 3 15
Direct
0.0138 0.6772 0.0000
0.3228 0.3366 0.6667
0.6634 0.9862 0.3333
0.0014 0.6420 0.7894
0.3342 0.3107 0.9673
0.3580 0.3594 0.4561
0.6406 0.9986 0.1227
0.6893 0.0235 0.6340
0.9765 0.6658 0.3007
0.3757 0.0434 0.0451
0.6676 0.6243 0.3785
0.9566 0.3324 0.7118
0.0026 0.3087 0.0436
0.0260 0.3537 0.3807
0.0360 0.0846 0.5509
0.0486 0.9640 0.8842
0.2713 0.5970 0.8856
0.3062 0.9974 0.3769
0.3257 0.7287 0.2189
0.3277 0.9740 0.7140
0.4030 0.6743 0.5523
0.6034 0.2821 0.5502
0.6463 0.6723 0.0474
0.6787 0.3966 0.8836
0.6913 0.6938 0.7103
0.7179 0.3213 0.2169
0.9154 0.9514 0.2175
```


A relaxed LiVOF3 crystal. Source: the Materials Project, functional PBE+U.

Computed properties:
- Formation energy: -2951 meV/atom
- Energy with MP2020 corrections: -6.565 eV per atom
- Crystal system: monoclinic
- Energy above the most stable polymorph in this dataset: 16 kJ/mol of formula units
- Total DFT energy (no corrections): -5.936 eV per atom
- SG: No. 14

Geometry as POSCAR:
```
LiVOF3
1.0
7.8432 0.0000 0.0000
0.0000 5.1576 0.0000
-2.0152 0.0000 7.0716
Li V O F
4 4 4 12
Direct
0.1355 0.1994 0.4857
0.1355 0.3006 0.9857
0.8645 0.6994 0.0143
0.8645 0.8006 0.5143
0.3479 0.7176 0.7344
0.3479 0.7824 0.2344
0.6521 0.2176 0.7656
0.6521 0.2824 0.2656
0.4581 0.0458 0.6852
0.4581 0.4542 0.1852
0.5419 0.5458 0.8148
0.5419 0.9542 0.3148
0.1205 0.6247 0.1164
0.1205 0.8753 0.6164
0.1988 0.0815 0.2509
0.1988 0.4185 0.7509
0.3228 0.6121 0.4669
0.3228 0.8879 0.9669
0.6772 0.1121 0.0331
0.6772 0.3879 0.5331
0.8012 0.5815 0.2491
0.8012 0.9185 0.7491
0.8795 0.1247 0.3836
0.8795 0.3753 0.8836
```


A relaxed Li2VO2F crystal. Source: the Materials Project, functional PBE+U.

Computed properties:
- Formation energy: -2635 meV/atom
- Energy with MP2020 corrections: -6.754 eV per atom
- Energy above the most stable polymorph in this dataset: 45 kJ/mol of formula units
- Total DFT energy (no corrections): -6.164 eV per atom

Geometry as POSCAR:
```
Li2VO2F
1.0
0.0001 -4.1147 0.0000
0.0000 0.0000 -7.9788
6.5672 -2.0576 0.0000
Li V O F
8 4 8 4
Direct
0.6667 0.0000 0.6667
0.6667 0.5000 0.6667
0.1667 0.2500 0.6667
0.1667 0.7500 0.6667
0.0033 0.0000 0.9933
0.0033 0.5000 0.9933
0.3298 0.0000 0.3401
0.3298 0.5000 0.3401
0.4967 0.7500 0.0066
0.8367 0.2500 0.3267
0.4968 0.2500 0.0066
0.8366 0.7500 0.3268
0.5066 0.0000 0.9868
0.5066 0.5000 0.9868
0.8266 0.0000 0.3466
0.8266 0.5000 0.3466
0.9960 0.2500 0.0082
0.9959 0.7500 0.0082
0.3374 0.2500 0.3251
0.3374 0.7500 0.3251
0.1668 0.0000 0.6666
0.1668 0.5000 0.6666
0.6668 0.2500 0.6666
0.6668 0.7500 0.6666
```


A relaxed LiV4OF11 crystal. Source: the Materials Project, functional PBE+U.

Computed properties:
- Formation energy: -3122 meV/atom
- Energy with MP2020 corrections: -6.902 eV per atom
- Crystal system: monoclinic
- Energy above the most stable polymorph in this dataset: 0 kJ/mol of formula units
- Total DFT energy (no corrections): -6.162 eV per atom
- SG: No. 5

Geometry as POSCAR:
```
LiV4OF11
1.0
4.8236 -2.6447 0.0000
4.8236 2.6447 0.0000
-4.1735 0.0000 17.2028
Li V O F
2 8 2 22
Direct
0.1712 0.1712 0.3668
0.8288 0.8288 0.6332
0.0473 0.0842 0.1873
0.1702 0.2182 0.5642
0.2900 0.3331 0.9372
0.4246 0.4876 0.3172
0.5124 0.5754 0.6828
0.6669 0.7100 0.0628
0.7818 0.8298 0.4358
0.9158 0.9527 0.8127
0.2293 0.5118 0.6230
0.4882 0.7707 0.3770
0.0202 0.6778 0.3492
0.0242 0.4061 0.4643
0.0573 0.4963 0.0256
0.0712 0.9288 0.5000
0.0742 0.7244 0.9018
0.2584 0.6952 0.2215
0.2756 0.9258 0.0982
0.3048 0.7416 0.7785
0.3222 0.9798 0.6508
0.3232 0.1799 0.2542
0.5037 0.9427 0.9744
0.5285 0.1707 0.8491
0.5461 0.2371 0.4007
0.5791 0.4209 0.0000
0.5939 0.9758 0.5357
0.7492 0.0017 0.1254
0.7625 0.1612 0.7182
0.7629 0.4539 0.5993
0.8201 0.6768 0.7458
0.8293 0.4715 0.1509
0.8388 0.2375 0.2818
0.9983 0.2508 0.8746
```


A relaxed LiVOF3 crystal. Source: the Materials Project, functional PBE+U.

Computed properties:
- Formation energy: -2895 meV/atom
- Energy with MP2020 corrections: -6.510 eV per atom
- Crystal system: orthorhombic
- Energy above the most stable polymorph in this dataset: 47 kJ/mol of formula units
- Total DFT energy (no corrections): -5.881 eV per atom
- SG: No. 30

Geometry as POSCAR:
```
LiVOF3
1.0
4.9889 0.0000 0.0000
0.0000 5.1673 0.0000
0.0000 0.0000 11.5395
Li V O F
4 4 4 12
Direct
0.0000 0.0000 0.0000
0.0000 0.0000 0.4077
0.0000 0.5000 0.5000
0.0000 0.5000 0.9077
0.0000 0.0000 0.6949
0.0000 0.5000 0.1949
0.5000 0.0000 0.8303
0.5000 0.5000 0.3303
0.1940 0.1973 0.8034
0.1940 0.3027 0.3034
0.8060 0.6973 0.3034
0.8060 0.8027 0.8034
0.1373 0.2061 0.5695
0.1373 0.2939 0.0695
0.3117 0.7090 0.4378
0.3117 0.7910 0.9378
0.3147 0.7189 0.2054
0.3147 0.7811 0.7054
0.6853 0.2189 0.7054
0.6853 0.2811 0.2054
0.6883 0.2090 0.9378
0.6883 0.2910 0.4378
0.8627 0.7061 0.0695
0.8627 0.7939 0.5695
```


A relaxed Li3V2O4F2 crystal. Source: the Materials Project, functional PBE+U.

Computed properties:
- Formation energy: -2686 meV/atom
- Energy with MP2020 corrections: -7.005 eV per atom
- Crystal system: monoclinic
- Energy above the most stable polymorph in this dataset: 15 kJ/mol of formula units
- Total DFT energy (no corrections): -6.362 eV per atom
- SG: No. 6

Geometry as POSCAR:
```
Li3V2O4F2
1.0
5.1400 0.0000 0.0000
0.0000 8.9520 0.0000
-0.1940 0.0000 7.3727
Li V O F
9 6 12 6
Direct
0.0000 0.0000 0.0000
0.1397 0.1778 0.7196
0.1397 0.8222 0.7196
0.4262 0.5000 0.0038
0.5997 0.3333 0.7403
0.5997 0.6667 0.7403
0.6057 0.0000 0.7658
0.9714 0.3338 0.9960
0.9714 0.6662 0.9960
0.2864 0.0000 0.3560
0.2925 0.3335 0.3635
0.2925 0.6665 0.3635
0.7837 0.1671 0.3619
0.7837 0.8329 0.3619
0.7966 0.5000 0.3744
0.1191 0.1674 0.2170
0.1191 0.8326 0.2170
0.1299 0.5000 0.2160
0.4449 0.1680 0.5105
0.4449 0.8320 0.5105
0.4558 0.5000 0.5108
0.6008 0.0000 0.2288
0.6065 0.3391 0.2283
0.6065 0.6609 0.2283
0.9709 0.0000 0.4992
0.9764 0.3284 0.5035
0.9764 0.6716 0.5035
0.2660 0.0000 0.8328
0.2862 0.3338 0.8671
0.2862 0.6662 0.8671
0.7606 0.5000 0.8827
0.8110 0.1684 0.8522
0.8110 0.8316 0.8522
```


A relaxed Li3V3O5F3 crystal. Source: the Materials Project, functional PBE+U.

Computed properties:
- Formation energy: -2714 meV/atom
- Energy with MP2020 corrections: -7.247 eV per atom
- Crystal system: triclinic
- Energy above the most stable polymorph in this dataset: 12 kJ/mol of formula units
- Total DFT energy (no corrections): -6.538 eV per atom
- SG: No. 1

Geometry as POSCAR:
```
Li3V3O5F3
1.0
5.9889 0.0000 0.0000
-0.1914 6.0858 0.0000
-0.1018 -0.1653 8.4255
Li V O F
6 6 10 6
Direct
0.0000 0.0000 0.0000
0.0234 0.4720 0.2624
0.2653 0.9950 0.3837
0.5005 0.4996 0.5000
0.5237 0.9716 0.7625
0.7649 0.4948 0.8836
0.0064 0.7443 0.6399
0.0132 0.2405 0.6317
0.2437 0.5114 0.8805
0.5055 0.2445 0.1397
0.5132 0.7404 0.1319
0.7442 0.0109 0.3805
0.0224 0.7261 0.8690
0.0416 0.2716 0.8676
0.2279 0.5044 0.6398
0.2877 0.4867 0.1200
0.4957 0.7000 0.8951
0.5224 0.2263 0.3689
0.5414 0.7717 0.3674
0.7274 0.0045 0.1398
0.7885 0.9857 0.6204
0.9955 0.2002 0.3956
0.0116 0.7496 0.3939
0.2516 0.9942 0.6300
0.2710 0.9847 0.1359
0.5116 0.2495 0.8940
0.7511 0.4938 0.1300
0.7715 0.4844 0.6362
```


A relaxed Li3V2O4F2 crystal. Source: the Materials Project, functional PBE+U.

Computed properties:
- Formation energy: -2685 meV/atom
- Energy with MP2020 corrections: -7.005 eV per atom
- Crystal system: triclinic
- Energy above the most stable polymorph in this dataset: 16 kJ/mol of formula units
- Total DFT energy (no corrections): -6.362 eV per atom
- SG: No. 1

Geometry as POSCAR:
```
Li3V2O4F2
1.0
5.9349 0.0000 0.0000
-0.0485 7.3787 0.0000
-1.4217 -0.1330 7.7617
Li V O F
9 6 12 6
Direct
0.0000 0.0000 0.0000
0.0369 0.2835 0.2281
0.2283 0.2709 0.9042
0.3406 0.0159 0.3538
0.3998 0.2732 0.5919
0.5247 0.0422 0.0256
0.6740 0.0080 0.7091
0.8412 0.9981 0.3648
0.9018 0.2718 0.5891
0.1179 0.6472 0.4734
0.2935 0.6444 0.1384
0.4449 0.6473 0.7988
0.6165 0.6324 0.4627
0.7862 0.6317 0.1296
0.9428 0.6419 0.7986
0.0000 0.4978 0.0356
0.0704 0.7812 0.2635
0.1617 0.4944 0.6739
0.2201 0.7792 0.9184
0.3447 0.5023 0.3645
0.4001 0.7837 0.5737
0.5063 0.5059 0.0196
0.5888 0.7842 0.2491
0.6653 0.4989 0.6777
0.7332 0.7884 0.9182
0.8442 0.4987 0.3549
0.8795 0.7834 0.5683
0.1176 0.1607 0.4506
0.2695 0.1317 0.1239
0.4514 0.1453 0.8046
0.6215 0.1260 0.4872
0.8097 0.1072 0.1464
0.9528 0.1435 0.7992
```


A relaxed Li2VO2F crystal. Source: the Materials Project, functional PBE+U.

Computed properties:
- Formation energy: -2662 meV/atom
- Energy with MP2020 corrections: -6.781 eV per atom
- Energy above the most stable polymorph in this dataset: 29 kJ/mol of formula units
- Total DFT energy (no corrections): -6.192 eV per atom

Geometry as POSCAR:
```
Li2VO2F
1.0
0.0132 4.1699 4.1803
6.3682 2.0927 0.0127
-0.0174 2.1092 -6.2946
Li V O F
8 4 8 4
Direct
0.0000 0.6666 0.3333
0.5000 0.6666 0.3333
0.2501 0.6665 0.8334
0.7501 0.6666 0.8334
0.2445 0.0026 0.4890
0.7446 0.0025 0.4890
0.2554 0.3308 0.1777
0.7555 0.3307 0.1777
0.9988 0.0050 0.0059
0.0011 0.3284 0.6607
0.4990 0.0051 0.0060
0.5010 0.3283 0.6607
0.8686 0.9918 0.2349
0.3685 0.9918 0.2349
0.1314 0.3416 0.4317
0.6314 0.3416 0.4317
0.6279 0.0020 0.7657
0.1279 0.0020 0.7656
0.3721 0.3315 0.9010
0.8721 0.3314 0.9010
0.1230 0.6691 0.0795
0.6229 0.6691 0.0795
0.3772 0.6642 0.5873
0.8772 0.6643 0.5872
```


A relaxed LiV2OF5 crystal. Source: the Materials Project, functional PBE+U.

Computed properties:
- Formation energy: -3036 meV/atom
- Energy with MP2020 corrections: -6.880 eV per atom
- Crystal system: triclinic
- Energy above the most stable polymorph in this dataset: 23 kJ/mol of formula units
- Total DFT energy (no corrections): -6.170 eV per atom
- SG: No. 1

Geometry as POSCAR:
```
LiV2OF5
1.0
5.2316 0.0000 0.0000
2.5929 4.8845 0.0000
0.2351 0.6918 12.8550
Li V O F
3 6 3 15
Direct
0.0000 0.0000 0.0000
0.0102 0.0076 0.4753
0.3124 0.3500 0.6597
0.2791 0.4174 0.4161
0.2879 0.4388 0.9086
0.5891 0.7992 0.5796
0.5929 0.7831 0.0878
0.9101 0.1310 0.7533
0.9623 0.0962 0.2402
0.2074 0.9731 0.1276
0.3268 0.1100 0.5020
0.5230 0.3180 0.7903
0.0593 0.2306 0.8841
0.1479 0.3133 0.2942
0.2093 0.7822 0.3497
0.3378 0.9508 0.7036
0.3726 0.5790 0.5466
0.4428 0.6781 0.9593
0.5777 0.1170 0.0005
0.6704 0.4298 0.1586
0.7023 0.2326 0.3737
0.7524 0.8901 0.2059
0.8105 0.0112 0.6152
0.8645 0.6444 0.4654
0.8958 0.4602 0.6675
0.9960 0.7771 0.8239
0.9993 0.6076 0.0247
```